<a>
A plane-wave DFT calculation with GGA+U was carried out for a geometry-optimized Li3V3P8O29 structure.

a b c (Å): 9.7651 9.7651 14.3583
angles (deg): 90.56 90.56 60.34
Last column: nearest neighbours and their distance in Å.
Element x y z (fractional)
Li  0.0421  0.0421  0.2992  2 O 1.87-1.92
Li  0.1840  0.0425  0.8160  3 O 1.93-2.03
Li  0.3470  0.4370  0.6966  2 O 1.86-1.90
Li  0.5630  0.6530  0.3034  2 O 1.86-1.90
Li  0.9575  0.8160  0.1840  3 O 1.93-2.03
Li  0.9579  0.9579  0.7008  2 O 1.87-1.92
V  0.2591  0.3043  0.4940  6 O 1.83-2.00
V  0.2712  0.1659  0.0082  6 O 1.84-2.00
V  0.6916  0.3084  0.0000  6 O 1.86-1.92
V  0.6957  0.7409  0.5060  6 O 1.83-2.00
V  0.8275  0.1725  0.5000  6 O 1.85-1.94
V  0.8341  0.7288  0.9918  6 O 1.84-2.00
P  0.0318  0.0564  0.0890  4 O 1.49-1.61
P  0.0386  0.6498  0.5844  4 O 1.48-1.62
P  0.1742  0.0591  0.5951  4 O 1.47-1.62
P  0.1770  0.5101  0.0893  4 O 1.48-1.62
P  0.3500  0.4181  0.9094  4 O 1.48-1.60
P  0.3502  0.9614  0.4156  4 O 1.48-1.62
P  0.4899  0.8230  0.9107  4 O 1.48-1.62
P  0.4930  0.4215  0.4090  4 O 1.46-1.61
P  0.5785  0.5070  0.5910  4 O 1.46-1.61
P  0.5819  0.6500  0.0906  4 O 1.48-1.60
P  0.5963  0.0760  0.6174  4 O 1.48-1.60
P  0.6103  0.0646  0.1181  4 O 1.48-1.60
P  0.9240  0.4037  0.3826  4 O 1.48-1.60
P  0.9354  0.3897  0.8819  4 O 1.48-1.60
P  0.9409  0.8258  0.4049  4 O 1.47-1.62
P  0.9436  0.9682  0.9110  4 O 1.49-1.61
O  0.0012  0.7546  0.3128  1 P 1.47
O  0.0050  0.6518  0.0832  1 P 1.56
O  0.0070  0.0756  0.5843  1 P 1.56
O  0.0246  0.9725  0.8246  1 P 1.49
O  0.0275  0.9754  0.1754  1 P 1.49
O  0.0324  0.7477  0.6656  1 P 1.48
O  0.0541  0.9459  0.0000  2 P 1.61
O  0.0596  0.7225  0.4881  2 P 1.62
O  0.0761  0.4029  0.4259  1 P 1.60
O  0.0845  0.2430  0.9234  1 P 1.57
O  0.1665  0.2169  0.5687  1 P 1.56
O  0.1709  0.3534  0.0723  1 P 1.58
O  0.1779  0.0788  0.0858  1 P 1.55
O  0.1825  0.4806  0.5857  1 P 1.55
O  0.2454  0.9988  0.6872  1 P 1.47
O  0.2523  0.9676  0.3344  1 P 1.48
O  0.2526  0.5317  0.9940  2 P 1.60-1.62
O  0.2614  0.5104  0.1751  1 P 1.48
O  0.2736  0.4814  0.8185  1 P 1.48
O  0.2775  0.9404  0.5119  2 P 1.62
O  0.3482  0.9950  0.9168  1 P 1.56
O  0.3508  0.3923  0.4167  1 P 1.55
O  0.3592  0.1167  0.4287  1 P 1.57
O  0.3610  0.2571  0.9320  1 P 1.56
O  0.4473  0.2229  0.5776  1 P 1.56
O  0.4560  0.0681  0.0758  1 P 1.60
O  0.4682  0.7474  0.0060  2 P 1.60-1.62
O  0.4715  0.5285  0.5000  2 P 1.61
O  0.4896  0.7386  0.8249  1 P 1.48
O  0.5011  0.4992  0.3244  1 P 1.46
O  0.5008  0.4989  0.6756  1 P 1.46
O  0.5187  0.3955  0.9193  1 P 1.56
O  0.5186  0.7264  0.1815  1 P 1.48
O  0.5194  0.8175  0.4143  1 P 1.55
O  0.5971  0.9239  0.5741  1 P 1.60
O  0.6045  0.4813  0.0807  1 P 1.56
O  0.6066  0.2134  0.0733  1 P 1.58
O  0.6077  0.6492  0.5833  1 P 1.55
O  0.6098  0.0696  0.7203  1 P 1.48
O  0.6111  0.0662  0.2213  1 P 1.48
O  0.6456  0.2601  0.4286  1 P 1.57
O  0.6466  0.8291  0.9277  1 P 1.58
O  0.7399  0.3544  0.5714  1 P 1.57
O  0.7429  0.6390  0.0680  1 P 1.56
O  0.7484  0.0703  0.5737  1 P 1.59
O  0.7570  0.9155  0.0766  1 P 1.57
O  0.7771  0.5527  0.4224  1 P 1.56
O  0.7831  0.8335  0.4313  1 P 1.56
O  0.7852  0.1192  0.9263  1 P 1.53
O  0.7866  0.3934  0.9267  1 P 1.58
O  0.8808  0.2148  0.0737  1 P 1.53
O  0.8833  0.6408  0.5713  1 P 1.57
O  0.9212  0.8221  0.9142  1 P 1.55
O  0.9244  0.9930  0.4157  1 P 1.56
O  0.9297  0.2516  0.4263  1 P 1.59
O  0.9304  0.3902  0.2797  1 P 1.48
O  0.9319  0.5440  0.9242  1 P 1.60
O  0.9338  0.3889  0.7787  1 P 1.48

magnetic moment = 0.00 μB/cell

=====

<b>
A plane-wave DFT calculation with GGA+U was carried out for a geometry-optimized Li3V3P8O29 structure.

a b c (Å): 9.7337 9.7401 14.1277
angles (deg): 89.81 89.92 60.18
Last column: nearest neighbours and their distance in Å.
Element x y z (fractional)
Li  0.0000  0.0000  0.0000  3 O 1.94-2.13
Li  0.0008  0.5731  0.5100  4 O 1.95-2.18
Li  0.0904  0.8173  0.3930  3 O 1.93-2.12
Li  0.7102  0.9464  0.4527  2 O 1.91-2.05
Li  0.7270  0.9313  0.9386  2 O 1.95-2.14
Li  0.8599  0.5781  0.0040  3 O 1.93-2.14
V  0.2074  0.4690  0.7034  6 O 1.82-1.97
V  0.2074  0.9075  0.1968  6 O 1.85-1.98
V  0.3344  0.9076  0.6960  6 O 1.87-1.91
V  0.3353  0.3378  0.1943  6 O 1.87-1.91
V  0.7647  0.4704  0.2036  6 O 1.85-1.95
V  0.7672  0.3391  0.6948  6 O 1.85-1.92
P  0.0769  0.6829  0.1066  4 O 1.48-1.63
P  0.0807  0.8163  0.6062  4 O 1.49-1.61
P  0.0970  0.2429  0.0788  4 O 1.48-1.60
P  0.0998  0.2419  0.5777  4 O 1.48-1.58
P  0.4292  0.5728  0.3162  4 O 1.48-1.60
P  0.4373  0.5745  0.8166  4 O 1.48-1.60
P  0.4619  0.1262  0.7903  4 O 1.47-1.61
P  0.4617  0.9919  0.2900  4 O 1.47-1.61
P  0.5420  0.2157  0.6051  4 O 1.47-1.61
P  0.5479  0.8195  0.1046  4 O 1.47-1.61
P  0.6814  0.6853  0.6075  4 O 1.49-1.63
P  0.6839  0.2151  0.1066  4 O 1.48-1.61
P  0.8527  0.1269  0.2926  4 O 1.47-1.61
P  0.8538  0.5927  0.7905  4 O 1.49-1.60
P  0.9909  0.9944  0.7875  4 O 1.49-1.62
P  0.9974  0.5901  0.2898  4 O 1.50-1.60
O  0.0272  0.5599  0.7787  1 P 1.56
O  0.0282  0.9883  0.2837  1 P 1.57
O  0.0908  0.2424  0.9739  1 P 1.48
O  0.0942  0.2464  0.4728  1 P 1.48
O  0.0959  0.0916  0.1212  1 P 1.60
O  0.0991  0.3918  0.6196  1 P 1.57
O  0.1086  0.8250  0.1082  1 P 1.56
O  0.1104  0.6438  0.6116  1 P 1.56
O  0.1484  0.9945  0.7730  1 P 1.55
O  0.1509  0.4321  0.2723  1 P 1.54
O  0.2348  0.5254  0.1197  1 P 1.55
O  0.2376  0.8169  0.6211  1 P 1.54
O  0.2453  0.0922  0.6226  1 P 1.57
O  0.2464  0.2401  0.1224  1 P 1.57
O  0.2789  0.7241  0.2725  1 P 1.60
O  0.2883  0.5713  0.7710  1 P 1.60
O  0.3013  0.9917  0.2730  1 P 1.58
O  0.3025  0.2863  0.7772  1 P 1.57
O  0.3835  0.3723  0.6211  1 P 1.56
O  0.3870  0.8206  0.1215  1 P 1.58
O  0.4204  0.5798  0.4207  1 P 1.48
O  0.4220  0.9911  0.7798  1 P 1.55
O  0.4232  0.1660  0.2776  1 P 1.55
O  0.4308  0.4272  0.2690  1 P 1.56
O  0.4309  0.7243  0.7701  1 P 1.57
O  0.4320  0.5763  0.9211  1 P 1.48
O  0.5081  0.8235  0.6117  1 P 1.55
O  0.5102  0.2501  0.1123  1 P 1.55
O  0.5486  0.9143  0.3771  1 P 1.47
O  0.5530  0.1132  0.8763  1 P 1.47
O  0.5525  0.1262  0.5191  1 P 1.47
O  0.5578  0.8987  0.0180  1 P 1.47
O  0.5649  0.1090  0.6976  2 P 1.61
O  0.5663  0.9033  0.1980  2 P 1.61
O  0.5790  0.5735  0.2723  1 P 1.59
O  0.5829  0.4294  0.7703  1 P 1.56
O  0.6789  0.2542  0.6140  1 P 1.56
O  0.6830  0.3737  0.1226  1 P 1.56
O  0.6833  0.5264  0.6182  1 P 1.55
O  0.6852  0.6445  0.1125  1 P 1.56
O  0.7591  0.7077  0.7039  2 P 1.60-1.63
O  0.7675  0.1095  0.1995  2 P 1.61
O  0.7713  0.1222  0.0221  1 P 1.48
O  0.7715  0.6967  0.5252  1 P 1.49
O  0.7749  0.1142  0.3789  1 P 1.47
O  0.7848  0.6746  0.8817  1 P 1.49
O  0.8501  0.1660  0.7783  1 P 1.55
O  0.8532  0.2868  0.2763  1 P 1.58
O  0.8535  0.5629  0.2818  1 P 1.55
O  0.8540  0.4362  0.7752  1 P 1.54
O  0.9497  0.3927  0.1221  1 P 1.57
O  0.9510  0.2429  0.6239  1 P 1.58
O  0.9716  0.9033  0.6973  2 P 1.61-1.62
O  0.9774  0.7065  0.2038  2 P 1.60-1.63
O  0.9778  0.6893  0.0250  1 P 1.48
O  0.9813  0.9203  0.8779  1 P 1.49
O  0.9974  0.8918  0.5161  1 P 1.49
O  0.9989  0.6694  0.3803  1 P 1.50

magnetic moment = 0.00 μB/cell

=====

In terms of stability, <b> leads; the second structure lies 0.006 eV/atom higher.